[1]
A relaxed Li2TlF2 crystal. Source: the Materials Project, functional GGA-PBE.

- E_tot: -3.820 eV per atom

abc: 7.808 7.808 7.808
angles: 105.03 105.03 118.78
Element x y z (fractional)
Li  0.045  0.161  0.616
Li  0.045  0.428  0.884
Li  0.161  0.045  0.116
Li  0.428  0.045  0.384
Li  0.572  0.955  0.616
Li  0.839  0.955  0.884
Li  0.955  0.572  0.116
Li  0.955  0.839  0.384
Tl  0.000  0.500  0.500
Tl  0.500  0.000  0.000
Tl  0.500  0.500  0.000
Tl  0.500  0.500  0.500
F  0.120  0.172  0.948
F  0.172  0.120  0.448
F  0.172  0.724  0.052
F  0.276  0.828  0.448
F  0.724  0.172  0.552
F  0.828  0.276  0.948
F  0.828  0.880  0.552
F  0.880  0.828  0.052

[2]
A relaxed CeNiSb crystal. Source: the Materials Project, functional GGA-PBE.

- E_tot: -6.047 eV per atom

abc: 4.334 4.334 4.105
angles: 90.00 90.00 120.00
Element x y z (fractional)
Ce  0.000  0.000  0.000
Ni  0.333  0.667  0.500
Sb  0.667  0.333  0.500

[3]
A relaxed EuY2O4 crystal. Source: the Materials Project, functional GGA-PBE.

- Energy above the lowest structure with this stoichiometry: 2.0 kJ per mole of atoms

abc: 3.422 10.166 11.998
angles: 89.82 89.84 89.80
Element x y z (fractional)
Eu  0.000  0.000  0.000
Eu  0.001  0.498  0.798
Eu  0.500  0.009  0.499
Eu  0.508  0.507  0.301
Y  0.001  0.332  0.540
Y  0.001  0.833  0.260
Y  0.005  0.828  0.763
Y  0.006  0.329  0.037
Y  0.503  0.173  0.760
Y  0.505  0.180  0.262
Y  0.505  0.675  0.040
Y  0.507  0.681  0.537
O  0.003  0.046  0.326
O  0.003  0.127  0.627
O  0.003  0.233  0.867
O  0.003  0.628  0.173
O  0.005  0.738  0.935
O  0.005  0.834  0.573
O  0.006  0.545  0.476
O  0.007  0.334  0.226
O  0.501  0.772  0.366
O  0.501  0.881  0.128
O  0.502  0.275  0.432
O  0.502  0.378  0.673
O  0.503  0.674  0.727
O  0.505  0.962  0.825
O  0.506  0.463  0.972
O  0.507  0.176  0.073

[4]
A relaxed Al crystal. Source: the Materials Project, functional GGA-PBE.

- Energy above the lowest structure with this stoichiometry: 9.8 kJ per mole of atoms

abc: 11.904 12.114 12.277
angles: 92.42 92.36 96.21
Element x y z (fractional)
Al  0.000  0.000  0.000
Al  0.001  0.149  0.725
Al  0.029  0.472  0.423
Al  0.038  0.801  0.087
Al  0.052  0.988  0.230
Al  0.073  0.125  0.434
Al  0.076  0.976  0.595
Al  0.081  0.298  0.280
Al  0.086  0.322  0.598
Al  0.088  0.772  0.671
Al  0.091  0.543  0.669
Al  0.114  0.964  0.814
Al  0.119  0.733  0.888
Al  0.122  0.593  0.079
Al  0.129  0.190  0.911
Al  0.146  0.743  0.266
Al  0.168  0.508  0.880
Al  0.168  0.684  0.474
Al  0.173  0.372  0.067
Al  0.175  0.150  0.120
Al  0.177  0.926  0.411
Al  0.190  0.518  0.278
Al  0.224  0.160  0.662
Al  0.250  0.489  0.523
Al  0.251  0.281  0.453
Al  0.266  0.110  0.310
Al  0.270  0.922  0.174
Al  0.274  0.336  0.805
Al  0.285  0.025  0.977
Al  0.294  0.648  0.733
Al  0.294  0.858  0.596
Al  0.312  0.685  0.980
Al  0.315  0.324  0.242
Al  0.320  0.862  0.826
Al  0.356  0.082  0.512
Al  0.358  0.263  0.015
Al  0.360  0.820  0.373
Al  0.367  0.704  0.191
Al  0.377  0.496  0.108
Al  0.396  0.668  0.529
Al  0.399  0.158  0.823
Al  0.401  0.353  0.618
Al  0.410  0.526  0.336
Al  0.412  0.513  0.893
Al  0.445  0.880  0.039
Al  0.458  0.997  0.697
Al  0.466  0.030  0.300
Al  0.476  0.268  0.411
Al  0.496  0.729  0.862
Al  0.503  0.567  0.698
Al  0.506  0.222  0.188
Al  0.524  0.094  0.006
Al  0.524  0.943  0.488
Al  0.535  0.357  0.806
Al  0.556  0.799  0.646
Al  0.558  0.199  0.627
Al  0.558  0.495  0.496
Al  0.559  0.395  0.031
Al  0.567  0.708  0.392
Al  0.577  0.850  0.230
Al  0.591  0.615  0.166
Al  0.603  0.416  0.276
Al  0.607  0.936  0.853
Al  0.651  0.167  0.842
Al  0.657  0.802  0.022
Al  0.659  0.579  0.927
Al  0.667  0.067  0.204
Al  0.671  0.118  0.431
Al  0.684  0.014  0.652
Al  0.693  0.334  0.499
Al  0.701  0.479  0.696
Al  0.712  0.737  0.781
Al  0.720  0.669  0.555
Al  0.721  0.243  0.067
Al  0.730  0.886  0.443
Al  0.763  0.023  0.010
Al  0.765  0.474  0.116
Al  0.766  0.382  0.890
Al  0.783  0.709  0.306
Al  0.794  0.506  0.390
Al  0.798  0.241  0.678
Al  0.826  0.687  0.085
Al  0.828  0.895  0.177
Al  0.843  0.326  0.256
Al  0.847  0.986  0.808
Al  0.864  0.075  0.323
Al  0.871  0.846  0.629
Al  0.876  0.059  0.546
Al  0.888  0.195  0.912
Al  0.888  0.446  0.593
Al  0.895  0.635  0.723
Al  0.900  0.264  0.457
Al  0.907  0.798  0.896
Al  0.933  0.568  0.929
Al  0.940  0.167  0.132
Al  0.942  0.670  0.492
Al  0.949  0.873  0.395
Al  0.954  0.386  0.054
Al  0.958  0.571  0.235
Al  0.982  0.373  0.798